[1]
DFT (r²SCAN) results for a relaxed CoGeTe crystal.

total energy	-17.65	eV/atom
calculated volume	17.7	Å³ per atom
total magnetic moment	0.00	μB/atom

a b c (Å): 6.1658 6.2090 11.1133
angles (deg): 90.00 90.00 90.00
Space group Pbca (No. 61)
One atom of each set of equivalent atoms:
1 Co 0.0003 0.1101 0.1110 [8 per cell]
2 Ge 0.1632 0.2257 0.9315 [8 per cell]
3 Te 0.1182 0.0099 0.6752 [8 per cell]

=====

[2]
DFT (r²SCAN) results for a relaxed ThCo2Ge2 crystal.

total energy	-26.13	eV/atom
calculated volume	16.7	Å³ per atom
total magnetic moment	0.35	μB/atom

a b c (Å): 4.1592 4.1592 9.6332
angles (deg): 90.00 90.00 90.00
Space group I4/mmm (No. 139)
One atom of each set of equivalent atoms:
1 Th 0.0000 0.0000 0.0000 [2 per cell]
2 Co 0.0000 0.5000 0.2500 [4 per cell]
3 Ge 0.0000 0.0000 0.3640 [4 per cell]

=====

[3]
DFT (r²SCAN) results for a relaxed ThCoGe2 crystal.

total energy	-29.27	eV/atom
calculated volume	18.4	Å³ per atom
total magnetic moment	0.00	μB/atom

a b c (Å): 4.1946 16.6246 4.2254
angles (deg): 90.00 90.00 90.00
Space group Cmcm (No. 63)
One atom of each set of equivalent atoms:
1 Th 0.0000 0.1102 0.2500 [4 per cell]
2 Co 0.0000 0.3192 0.2500 [4 per cell]
3 Ge 0.0000 0.2497 0.7500 [4 per cell]
4 Ge 0.0000 0.4570 0.2500 [4 per cell]

=====

[4]
DFT (r²SCAN) results for a relaxed TmCoGe2 crystal.

total energy	-19.61	eV/atom
calculated volume	17.0	Å³ per atom
total magnetic moment	0.00	μB/atom

a b c (Å): 4.0627 16.4910 4.0687
angles (deg): 90.00 90.00 90.00
Space group Cmcm (No. 63)
One atom of each set of equivalent atoms:
1 Tm 0.0000 0.1108 0.2500 [4 per cell]
2 Co 0.0000 0.3204 0.2500 [4 per cell]
3 Ge 0.0000 0.2508 0.7500 [4 per cell]
4 Ge 0.0000 0.4553 0.2500 [4 per cell]

=====

[5]
DFT (r²SCAN) results for a relaxed TmCo2Ge2 crystal.

total energy	-18.42	eV/atom
calculated volume	15.2	Å³ per atom
total magnetic moment	0.00	μB/atom

a b c (Å): 3.8950 3.8950 9.9862
angles (deg): 90.00 90.00 90.00
Space group I4/mmm (No. 139)
One atom of each set of equivalent atoms:
1 Tm 0.0000 0.0000 0.0000 [2 per cell]
2 Co 0.0000 0.5000 0.2500 [4 per cell]
3 Ge 0.0000 0.0000 0.3732 [4 per cell]

=====

[6]
DFT (r²SCAN) results for a relaxed Tm2CoGe2 crystal.

total energy	-23.02	eV/atom
calculated volume	18.7	Å³ per atom
total magnetic moment	0.00	μB/atom

a b c (Å): 10.2103 4.1267 10.0041
angles (deg): 90.00 117.31 90.00
Space group C2/m (No. 12)
One atom of each set of equivalent atoms:
1 Tm 0.0079 0.0000 0.3339 [4 per cell]
2 Tm 0.1892 0.0000 0.1166 [4 per cell]
3 Co 0.2267 0.5000 0.3422 [4 per cell]
4 Ge 0.0152 0.5000 0.8785 [4 per cell]
5 Ge 0.1569 0.5000 0.5609 [4 per cell]

=====

Calculated formation energy in meV per atom, matching the order above: -138.0; -587.5; -653.5; -589.3; -553.5; -780.3